A geometry-optimized CaB12H24O8 structure, computed with GGA-PBE.

Values from the calculation:
Total DFT energy (no corrections) ... -4.993 eV/atom
Energy with MP2020 corrections ... -0.18796 Ha/atom
Formation enthalpy at 0 K ... -600 meV/atom

abc: 11.6047 12.5459 12.4841
angles: 90.00 90.00 90.00
Last column: nearest neighbours and their distance in Å.
Atoms (fractional coordinates):
O 0.6037 0.1712 0.9083  2 H 0.97-1.01
O 0.2410 0.4998 0.1179  1 H 0.98
O 0.2825 0.3238 0.2238  2 H 0.98-1.03
O 0.1321 0.7330 0.2247  1 H 0.99
O 0.3963 0.3288 0.4083  2 H 0.97-1.01
O 0.5912 0.3265 0.6123  2 H 0.98-1.00
O 0.7410 0.5002 0.3821  1 H 0.98
O 0.8141 0.7131 0.6333  1 H 0.99
O 0.3141 0.2869 0.8667  1 H 0.99
O 0.8679 0.7670 0.7247  1 H 0.99
O 0.2175 0.8238 0.7762  2 H 0.98-1.03
O 0.4235 0.9831 0.7926  1 O 2.22, 1 Ca 2.38
O 0.9953 0.4633 0.9967  2 H 0.98
O 0.1859 0.7869 0.1333  1 H 0.99
O 0.0047 0.0367 0.4967  2 H 0.98
O 0.4953 0.5367 0.5033  2 H 0.98
O 0.6321 0.2670 0.2753  1 H 0.99
O 0.4088 0.1735 0.1123  2 H 0.98-1.00
O 0.7175 0.1762 0.7238  2 H 0.98-1.03
O 0.9088 0.8265 0.3877  2 H 0.98-1.00
O 0.2590 0.9998 0.8821  1 H 0.98
O 0.6859 0.2131 0.3667  1 H 0.99
O 0.0912 0.6735 0.8877  2 H 0.98-1.00
O 0.5765 0.5169 0.2926  1 O 2.22, 1 Ca 2.38
O 0.3679 0.2330 0.7753  1 H 0.99
O 0.7825 0.6762 0.2762  2 H 0.98-1.03
O 0.8963 0.6712 0.0917  2 H 0.97-1.01
O 0.7590 0.0002 0.6179  1 H 0.98
O 0.5047 0.9633 0.0033  2 H 0.98
O 0.1037 0.8288 0.5917  2 H 0.97-1.01
O 0.0765 0.4831 0.2074  1 O 2.22, 1 Ca 2.38
O 0.9235 0.0169 0.7074  1 O 2.22, 1 Ca 2.38
H 0.5310 0.0702 0.2710  1 B 1.20
H 0.7363 0.6965 0.6621  1 O 0.99
H 0.5101 0.0912 0.5163  1 B 1.20
H 0.1452 0.8226 0.6623  1 O 1.01
H 0.3288 0.9402 0.1931  1 B 1.20
H 0.8317 0.2644 0.9679  1 B 1.20
H 0.6791 0.9316 0.4147  1 B 1.20
H 0.0337 0.1319 0.8890  1 B 1.19
H 0.1426 0.7800 0.5428  1 O 0.97
H 0.1381 0.7298 0.8515  1 O 1.00
H 0.1486 0.2149 0.7108  1 B 1.20
H 0.7072 0.4055 0.8785  1 B 1.20
H 0.1712 0.4402 0.8069  1 B 1.20
H 0.2457 0.9603 0.9488  1 O 0.98
H 0.8876 0.7071 0.7725  1 O 0.99
H 0.6712 0.5598 0.6931  1 B 1.20
H 0.1683 0.2356 0.4679  1 B 1.20
H 0.7304 0.1026 0.6890  1 O 1.03
H 0.8619 0.7702 0.3515  1 O 1.00
H 0.3163 0.3773 0.6114  1 B 1.20
H 0.3209 0.5684 0.9147  1 B 1.20
H 0.2268 0.4449 0.4254  1 H 0.86
H 0.0720 0.2868 0.0766  1 B 1.21
H 0.2928 0.0945 0.3785  1 B 1.20
H 0.8209 0.4316 0.5853  1 B 1.20
H 0.9663 0.3681 0.3890  1 B 1.19
H 0.2072 0.5945 0.6215  1 B 1.20
H 0.8514 0.2851 0.2108  1 B 1.20
H 0.8288 0.0598 0.3069  1 B 1.20
H 0.2047 0.2948 0.2323  1 O 0.98
H 0.2363 0.3035 0.8379  1 O 0.99
H 0.5337 0.8681 0.6110  1 B 1.19
H 0.7696 0.6026 0.3110  1 O 1.03
H 0.9216 0.8813 0.3331  1 O 0.98
H 0.1704 0.4844 0.4046  1 H 0.86
H 0.3296 0.9844 0.5954  1 H 0.86
H 0.4663 0.6319 0.1110  1 B 1.19
H 0.6381 0.2702 0.6485  1 O 1.00
H 0.3619 0.2298 0.1485  1 O 1.00
H 0.4345 0.6629 0.7172  1 B 1.20
H 0.5802 0.9622 0.0376  1 O 0.98
H 0.6704 0.5156 0.0954  1 H 0.86
H 0.2953 0.7948 0.7677  1 O 0.98
H 0.2696 0.3974 0.1890  1 O 1.03
H 0.2304 0.8974 0.8110  1 O 1.03
H 0.6124 0.2071 0.2275  1 O 0.99
H 0.8296 0.0156 0.9046  1 H 0.86
H 0.7457 0.0397 0.5512  1 O 0.98
H 0.1124 0.7929 0.2725  1 O 0.99
H 0.6486 0.7851 0.7892  1 B 1.20
H 0.9345 0.3371 0.7828  1 B 1.20
H 0.3876 0.2929 0.7275  1 O 0.99
H 0.9690 0.5702 0.7290  1 B 1.20
H 0.1837 0.8773 0.3886  1 B 1.20
H 0.4914 0.8904 0.9774  1 O 0.98
H 0.0101 0.9088 0.9837  1 B 1.20
H 0.4280 0.7868 0.9234  1 B 1.21
H 0.2732 0.9449 0.5746  1 H 0.86
H 0.9280 0.2132 0.5766  1 B 1.21
H 0.4690 0.4298 0.7710  1 B 1.20
H 0.9914 0.1096 0.5226  1 O 0.98
H 0.2543 0.4603 0.0512  1 O 0.98
H 0.4216 0.1187 0.1669  1 O 0.98
H 0.7268 0.5551 0.0746  1 H 0.86
H 0.8548 0.6774 0.1623  1 O 1.01
H 0.8163 0.6227 0.8886  1 B 1.20
H 0.5784 0.3813 0.6669  1 O 0.98
H 0.0655 0.1629 0.2828  1 B 1.20
H 0.0802 0.0378 0.4624  1 O 0.98
H 0.5720 0.7132 0.4234  1 B 1.21
H 0.9198 0.4622 0.9624  1 O 0.98
H 0.8574 0.7200 0.0428  1 O 0.97
H 0.0310 0.9298 0.2290  1 B 1.20
H 0.5655 0.8371 0.2172  1 B 1.20
H 0.1791 0.0684 0.0853  1 B 1.20
H 0.3514 0.7149 0.2892  1 B 1.20
H 0.7543 0.5397 0.4488  1 O 0.98
H 0.4899 0.4088 0.0163  1 B 1.20
H 0.2637 0.8035 0.1621  1 O 0.99
H 0.6452 0.1774 0.8377  1 O 1.01
H 0.9899 0.5912 0.4837  1 B 1.20
H 0.4198 0.5378 0.5376  1 O 0.98
H 0.7928 0.9055 0.1215  1 B 1.20
H 0.7953 0.2052 0.7323  1 O 0.98
H 0.3574 0.2800 0.4572  1 O 0.97
H 0.6837 0.1227 0.1114  1 B 1.20
H 0.3317 0.7356 0.5321  1 B 1.20
H 0.7637 0.1965 0.3379  1 O 0.99
H 0.0784 0.6187 0.8331  1 O 0.98
H 0.3548 0.3226 0.3377  1 O 1.01
H 0.5086 0.6096 0.4774  1 O 0.98
H 0.0086 0.3904 0.0226  1 O 0.98
H 0.7732 0.0551 0.9254  1 H 0.86
H 0.6426 0.2200 0.9572  1 O 0.97
H 0.7047 0.7052 0.2677  1 O 0.98
H 0.6683 0.7644 0.0321  1 B 1.20
B 0.6249 0.6974 0.9765  1 H 1.20
B 0.9232 0.4199 0.5901  1 H 1.20
B 0.5103 0.8644 0.2936  1 H 1.20
B 0.3717 0.9236 0.2791  1 H 1.20
B 0.7132 0.6135 0.8912  1 H 1.20
B 0.8850 0.2071 0.1652  1 H 1.20
B 0.4947 0.8809 0.5236  1 H 1.19
B 0.5122 0.7914 0.4149  1 H 1.21
B 0.4800 0.0142 0.4672  1 H 1.20
B 0.9894 0.9988 0.1747  1 H 1.20
B 0.4232 0.5801 0.9099  1 H 1.20
B 0.6406 0.5613 0.0023  2 H 1.34-1.35
B 0.1150 0.2929 0.6652  1 H 1.20
B 0.4897 0.6356 0.7936  1 H 1.20
B 0.1283 0.4236 0.7209  1 H 1.20
B 0.5053 0.6191 0.0236  1 H 1.19
B 0.3850 0.7929 0.3348  1 H 1.20
B 0.4894 0.0012 0.3253  1 H 1.20
B 0.0200 0.5142 0.5328  1 H 1.20
B 0.0103 0.1356 0.2064  1 H 1.20
B 0.6484 0.4837 0.8854  1 H 1.20
B 0.0106 0.5012 0.6747  1 H 1.20
B 0.0053 0.3809 0.4764  1 H 1.19
B 0.3516 0.0163 0.3854  1 H 1.20
B 0.6283 0.5764 0.7791  1 H 1.20
B 0.8717 0.0764 0.2209  1 H 1.20
B 0.2132 0.3865 0.6088  1 H 1.20
B 0.5106 0.4988 0.8253  1 H 1.20
B 0.3594 0.9387 0.5023  2 H 1.34-1.35
B 0.0122 0.2086 0.0851  1 H 1.21
B 0.9897 0.3644 0.7064  1 H 1.20
B 0.4878 0.7086 0.9149  1 H 1.21
B 0.7868 0.1135 0.1088  1 H 1.20
B 0.9947 0.1191 0.9764  1 H 1.19
B 0.5768 0.9199 0.4099  1 H 1.20
B 0.1249 0.3026 0.5235  1 H 1.20
B 0.2868 0.8865 0.3912  1 H 1.20
B 0.1406 0.4387 0.4977  2 H 1.34-1.35
B 0.9878 0.2914 0.5851  1 H 1.21
B 0.8751 0.1974 0.0235  1 H 1.20
B 0.8516 0.9837 0.1146  1 H 1.20
B 0.5200 0.4858 0.9672  1 H 1.20
B 0.3751 0.8026 0.4765  1 H 1.20
B 0.0768 0.0801 0.0901  1 H 1.20
B 0.9800 0.9858 0.0328  1 H 1.20
B 0.6150 0.7071 0.8348  1 H 1.20
B 0.8594 0.0613 0.9977  2 H 1.34-1.35
B 0.1484 0.5163 0.6146  1 H 1.20
Ca 0.5916 0.3841 0.4279  7 O 2.34-2.53
Ca 0.0916 0.6159 0.0721  7 O 2.34-2.53
Ca 0.9084 0.8841 0.5721  7 O 2.34-2.53
Ca 0.4084 0.1159 0.9279  7 O 2.34-2.53

***

A geometry-optimized CaBHO3 structure, computed with GGA-PBE.

Values from the calculation:
Energy relative to the lowest polymorph listed for this composition ... 0 meV per atom
Total DFT energy (no corrections) ... -6.903 eV/atom
Energy with MP2020 corrections ... -0.26629 Ha/atom
Formation enthalpy at 0 K ... -2759 meV/atom

abc: 3.5982 7.6463 9.5859
angles: 90.00 90.00 94.66
Last column: nearest neighbours and their distance in Å.
Atoms (fractional coordinates):
Ca 0.7909 0.7089 0.4927  6 O 2.33-2.42
Ca 0.7091 0.7911 0.9927  6 O 2.33-2.42
Ca 0.2909 0.2089 0.0073  6 O 2.33-2.42
Ca 0.2091 0.2911 0.5073  6 O 2.33-2.42
H 0.9511 0.1439 0.2640  1 O 1.02
H 0.0489 0.8561 0.7360  1 O 1.02
H 0.5489 0.3561 0.7640  1 O 1.02
H 0.4511 0.6439 0.2360  1 O 1.02
O 0.2612 0.5754 0.6204  1 B 1.38
O 0.6861 0.2143 0.6546  1 B 1.37
O 0.8139 0.2857 0.1546  1 B 1.37
O 0.3139 0.7857 0.3454  1 B 1.37
O 0.1861 0.7143 0.8454  1 B 1.37
O 0.9294 0.9352 0.6659  1 H 1.02
O 0.4294 0.4352 0.8341  1 H 1.02
O 0.7388 0.4246 0.3796  1 B 1.38
O 0.5706 0.5648 0.1659  1 H 1.02
O 0.7612 0.0754 0.8796  1 B 1.38
O 0.2388 0.9246 0.1204  1 B 1.38
O 0.0706 0.0648 0.3341  1 H 1.02
B 0.2190 0.9220 0.2641  3 O 1.37-1.42
B 0.7810 0.0780 0.7359  3 O 1.37-1.42
B 0.7190 0.4220 0.2359  3 O 1.37-1.42
B 0.2810 0.5780 0.7641  3 O 1.37-1.42

***

A geometry-optimized CaBHO3 structure, computed with GGA-PBE.

Values from the calculation:
Energy relative to the lowest polymorph listed for this composition ... 12 meV per atom
Total DFT energy (no corrections) ... -6.890 eV/atom
Energy with MP2020 corrections ... -0.26584 Ha/atom
Formation enthalpy at 0 K ... -2747 meV/atom

abc: 3.5817 5.4581 6.8761
angles: 90.00 92.31 90.00
Last column: nearest neighbours and their distance in Å.
Atoms (fractional coordinates):
B 0.2259 0.2440 0.7722  3 O 1.36-1.43
B 0.7741 0.7440 0.2278  3 O 1.36-1.43
Ca 0.2517 0.2393 0.3579  6 O 2.35-2.55
Ca 0.7483 0.7393 0.6421  6 O 2.35-2.55
O 0.7385 0.5207 0.3136  1 B 1.36
O 0.2547 0.4587 0.6700  1 B 1.37
O 0.1290 0.2535 0.9717  1 H 0.98
O 0.2615 0.0207 0.6864  1 B 1.36
O 0.7453 0.9587 0.3300  1 B 1.37
O 0.8710 0.7535 0.0283  1 H 0.98
H 0.0422 0.4208 0.9977  1 O 0.98
H 0.9578 0.9208 0.0023  1 O 0.98

***

A geometry-optimized CaB2H12O10 structure, computed with GGA-PBE.

Values from the calculation:
Total DFT energy (no corrections) ... -5.735 eV/atom
Energy with MP2020 corrections ... -0.22086 Ha/atom
Formation enthalpy at 0 K ... -1788 meV/atom

abc: 6.5879 8.0105 8.0256
angles: 75.70 90.00 90.00
Last column: nearest neighbours and their distance in Å.
Atoms (fractional coordinates):
O 0.7745 0.9955 0.9658  1 H 1.00
O 0.4848 0.2258 0.3721  1 H 0.99
O 0.5152 0.7742 0.6279  1 H 0.99
O 0.7745 0.0045 0.5342  1 H 1.00
O 0.2106 0.4226 0.9611  2 H 0.99-1.00
O 0.2106 0.5774 0.5389  2 H 0.99-1.00
O 0.2536 0.2273 0.5998  1 H 1.00
O 0.2255 0.9955 0.4658  1 H 1.00
O 0.7894 0.5774 0.0389  2 H 0.99-1.00
O 0.7464 0.2273 0.0998  1 H 1.00
O 0.4848 0.7742 0.1279  1 H 0.99
O 0.7894 0.4226 0.4611  2 H 0.99-1.00
O 0.8842 0.7304 0.6904  1 H 0.99
O 0.1158 0.7304 0.1904  1 H 0.99
O 0.2536 0.7727 0.9002  1 H 1.00
O 0.5152 0.2258 0.8721  1 H 0.99
O 0.8842 0.2696 0.8096  1 H 0.99
O 0.7464 0.7727 0.4002  1 H 1.00
O 0.2255 0.0045 0.0342  1 H 1.00
O 0.1158 0.2696 0.3096  1 H 0.99
H 0.8343 0.3378 0.6971  1 O 0.99
H 0.7672 0.3534 0.0845  1 O 1.00
H 0.2328 0.6466 0.9155  1 O 1.00
H 0.3405 0.9175 0.5134  1 O 1.00
H 0.9042 0.3781 0.4042  1 O 0.99
H 0.3405 0.0825 0.9866  1 O 1.00
H 0.2328 0.3534 0.5845  1 O 1.00
H 0.3335 0.6328 0.5739  1 O 1.00
H 0.6595 0.9175 0.0134  1 O 1.00
H 0.6665 0.6328 0.0739  1 O 1.00
H 0.0958 0.6219 0.5958  1 O 0.99
H 0.1657 0.3378 0.1971  1 O 0.99
H 0.8343 0.6622 0.8029  1 O 0.99
H 0.6665 0.3672 0.4261  1 O 1.00
H 0.5234 0.7842 0.2437  1 O 0.99
H 0.5234 0.2158 0.2563  1 O 0.99
H 0.9042 0.6219 0.0958  1 O 0.99
H 0.4766 0.7842 0.7437  1 O 0.99
H 0.4766 0.2158 0.7563  1 O 0.99
H 0.6595 0.0825 0.4866  1 O 1.00
H 0.3335 0.3672 0.9261  1 O 1.00
H 0.1657 0.6622 0.3029  1 O 0.99
H 0.7672 0.6466 0.4155  1 O 1.00
H 0.0958 0.3781 0.9042  1 O 0.99
Ca 0.9699 0.0000 0.2500  8 O 2.41-2.63
Ca 0.0301 0.0000 0.7500  8 O 2.41-2.63
B 0.7251 0.8162 0.5680  4 O 1.48-1.50
B 0.2749 0.1838 0.4320  4 O 1.48-1.50
B 0.2749 0.8162 0.0680  4 O 1.48-1.50
B 0.7251 0.1838 0.9320  4 O 1.48-1.50

***

A geometry-optimized CaB5H3O10 structure, computed with GGA-PBE.

Values from the calculation:
Total DFT energy (no corrections) ... -7.226 eV/atom
Energy with MP2020 corrections ... -0.27884 Ha/atom
Formation enthalpy at 0 K ... -2584 meV/atom

abc: 20.0371 6.5797 6.6205
angles: 60.64 90.00 90.00
Last column: nearest neighbours and their distance in Å.
Atoms (fractional coordinates):
B 0.4477 0.6772 0.6540  3 O 1.36-1.39
B 0.1719 0.3195 0.9726  3 O 1.35-1.42
B 0.3399 0.4858 0.7435  4 O 1.46-1.49
B 0.8399 0.5142 0.7565  4 O 1.46-1.49
B 0.6837 0.7772 0.8360  3 O 1.36-1.39
B 0.6552 0.0876 0.4412  4 O 1.46-1.52
B 0.1601 0.4858 0.2435  4 O 1.46-1.49
B 0.3281 0.3195 0.4726  3 O 1.35-1.42
B 0.0523 0.6772 0.1540  3 O 1.36-1.39
B 0.6719 0.6805 0.5274  3 O 1.35-1.42
B 0.8163 0.7772 0.3360  3 O 1.36-1.39
B 0.6601 0.5142 0.2565  4 O 1.46-1.49
B 0.8448 0.0876 0.9412  4 O 1.46-1.52
B 0.1552 0.9124 0.0588  4 O 1.46-1.52
B 0.5523 0.3228 0.3460  3 O 1.36-1.39
B 0.8281 0.6805 0.0274  3 O 1.35-1.42
B 0.9477 0.3228 0.8460  3 O 1.36-1.39
B 0.3448 0.9124 0.5588  4 O 1.46-1.52
B 0.1837 0.2228 0.6640  3 O 1.36-1.39
B 0.3163 0.2228 0.1640  3 O 1.36-1.39
O 0.4166 0.8920 0.5295  2 B 1.39-1.47
O 0.8272 0.6110 0.2670  2 B 1.39-1.42
O 0.4240 0.7903 0.0705  2 H 0.97-0.99
O 0.0166 0.3376 0.8367  1 H 0.99
O 0.6785 0.5047 0.4797  2 B 1.35-1.49
O 0.3111 0.2734 0.9400  2 B 1.36-1.48
O 0.5760 0.2097 0.9295  2 H 0.97-0.99
O 0.1907 0.9910 0.8297  2 B 1.38-1.52
O 0.6728 0.6110 0.7670  2 B 1.39-1.42
O 0.0834 0.8920 0.0295  2 B 1.39-1.47
O 0.9834 0.6624 0.1633  1 H 0.99
O 0.8215 0.5047 0.9797  2 B 1.35-1.49
O 0.6889 0.7266 0.0600  2 B 1.36-1.48
O 0.1881 0.7006 0.2327  2 B 1.46-1.49
O 0.6661 0.9109 0.3667  2 B 1.36-1.48
O 0.5166 0.6624 0.6633  1 H 0.99
O 0.0876 0.4754 0.2702  2 B 1.36-1.46
O 0.1889 0.2734 0.4400  2 B 1.36-1.48
O 0.5834 0.1080 0.4705  2 B 1.39-1.47
O 0.3093 0.9910 0.3297  2 B 1.38-1.52
O 0.1661 0.0891 0.1333  2 B 1.36-1.48
O 0.4834 0.3376 0.3367  1 H 0.99
O 0.6881 0.2994 0.2673  2 B 1.46-1.49
O 0.1785 0.4953 0.0203  2 B 1.35-1.49
O 0.8339 0.9109 0.8667  2 B 1.36-1.48
O 0.8119 0.2994 0.7673  2 B 1.46-1.49
O 0.3215 0.4953 0.5203  2 B 1.35-1.49
O 0.3272 0.3890 0.2330  2 B 1.39-1.42
O 0.8111 0.7266 0.5600  2 B 1.36-1.48
O 0.9124 0.5246 0.7298  2 B 1.36-1.46
O 0.8093 0.0090 0.1703  2 B 1.38-1.52
O 0.0760 0.7903 0.5705  2 H 0.97-0.99
O 0.6907 0.0090 0.6703  2 B 1.38-1.52
O 0.3119 0.7006 0.7327  2 B 1.46-1.49
O 0.9240 0.2097 0.4295  2 H 0.97-0.99
O 0.4124 0.4754 0.7702  2 B 1.36-1.46
O 0.1728 0.3890 0.7330  2 B 1.39-1.42
O 0.9166 0.1080 0.9705  2 B 1.39-1.47
O 0.3339 0.0891 0.6333  2 B 1.36-1.48
O 0.5876 0.5246 0.2298  2 B 1.36-1.46
H 0.5385 0.8167 0.5881  1 O 0.99
H 0.4615 0.1833 0.4119  1 O 0.99
H 0.5500 0.3565 0.8523  1 O 0.99
H 0.9506 0.0861 0.4310  1 O 0.97
H 0.4500 0.6435 0.1477  1 O 0.99
H 0.5494 0.0861 0.9310  1 O 0.97
H 0.9500 0.3565 0.3523  1 O 0.99
H 0.0385 0.1833 0.9119  1 O 0.99
H 0.9615 0.8167 0.0881  1 O 0.99
H 0.0500 0.6435 0.6477  1 O 0.99
H 0.0494 0.9139 0.5690  1 O 0.97
H 0.4506 0.9139 0.0690  1 O 0.97
Ca 0.1946 0.8151 0.5491  7 O 2.38-2.66
Ca 0.8054 0.1849 0.4509  7 O 2.38-2.66
Ca 0.3054 0.8151 0.0491  7 O 2.38-2.66
Ca 0.6946 0.1849 0.9509  7 O 2.38-2.66